Here is a relaxed OsO2 crystal from the Materials Project database. Energies are from PBE-GGA.

POSCAR file:
```
OsO2
1.0
-1.0931 -4.8041 0.0526
4.6998 -1.0581 1.0343
-0.9972 0.2797 4.8171
Os O
4 8
Cartesian
1.8513 -0.3892 2.9257
0.0000 0.0000 0.0000
-1.0451 -2.2622 2.4349
1.8033 -2.9311 0.5435
3.1316 -3.9816 1.6376
2.0454 -1.1734 4.7731
3.4797 -1.5239 2.5704
0.9121 -1.9514 2.0637
-0.8702 -4.0586 3.3336
0.5641 -4.4091 1.1310
-0.5221 -1.6009 4.2664
1.6974 -3.6312 3.8403
```

## Properties
The MP2020-corrected energy is -8.31 eV per atom. The calculation puts the formation energy at -1266 meV/atom. Its space-group type is Pa-3, No. 205. The volume comes out at 119.6 Å³ per cell.